No. 1
NaZrCuSe3: relaxed, PBE.

Cell and atoms, written as CIF:
```
data_NaZrCuSe3
_chemical_formula_sum 'Na4 Zr4 Cu4 Se12'
_cell_length_a 13.7567
_cell_length_b 3.8610
_cell_length_c 10.3678
_cell_angle_alpha 90.00
_cell_angle_beta 90.00
_cell_angle_gamma 90.00
_symmetry_space_group_name_H-M 'P n m a'
_symmetry_Int_Tables_number 62
_symmetry_space_group_name_Hall '-P 2ac 2n'
loop_
_atom_site_label
_atom_site_type_symbol
_atom_site_fract_x
_atom_site_fract_y
_atom_site_fract_z
Na1 Na 0.2282 0.2500 0.0439
Zr1 Zr 0.0106 0.2500 0.3217
Cu1 Cu 0.0084 0.7500 0.0919
Se1 Se 0.1029 0.2500 0.5646
Se2 Se 0.1043 0.7500 0.8821
Se3 Se 0.1381 0.7500 0.2525
```


No. 2
# KGe2BO6 | the Materials Project database | PBE | relaxed
data_KGe2BO6
_chemical_formula_sum 'K4 Ge8 B4 O24'
_cell_length_a 4.8686
_cell_length_b 10.3398
_cell_length_c 10.8677
_cell_angle_alpha 90.00
_cell_angle_beta 90.00
_cell_angle_gamma 90.00
_symmetry_space_group_name_H-M 'P 21 21 21'
_symmetry_Int_Tables_number 19
_symmetry_space_group_name_Hall 'P 2ac 2ab'
loop_
_atom_site_label
_atom_site_type_symbol
_atom_site_fract_x
_atom_site_fract_y
_atom_site_fract_z
K1 K 0.1934 0.0306 0.3134
Ge1 Ge 0.2005 0.3848 0.4333
Ge2 Ge 0.2302 0.3017 0.9196
B1 B 0.1950 0.2343 0.6575
O1 O 0.0054 0.7922 0.1669
O2 O 0.0281 0.8187 0.4658
O3 O 0.0559 0.1232 0.5982
O4 O 0.0775 0.2492 0.7835
O5 O 0.0941 0.5492 0.4079
O6 O 0.1429 0.3590 0.5921
# magnetic moment: 0.00 μB per formula unit


No. 3
# Na6Zr3ZnSi2P4O24 | the Materials Project database | PBE | relaxed
data_Na6Zr3ZnSi2P4O24
_chemical_formula_sum 'Na18 Zr9 Zn3 Si6 P12 O72'
_cell_length_a 9.1523
_cell_length_b 9.1538
_cell_length_c 22.5983
_cell_angle_alpha 90.16
_cell_angle_beta 90.00
_cell_angle_gamma 119.85
_symmetry_space_group_name_H-M 'P 1'
_symmetry_Int_Tables_number 1
_symmetry_space_group_name_Hall 'P 1'
loop_
_atom_site_label
_atom_site_type_symbol
_atom_site_fract_x
_atom_site_fract_y
_atom_site_fract_z
Na1 Na 0.0000 0.0000 0.0000
Na2 Na 0.0014 0.2797 0.4152
Na3 Na 0.0124 0.6833 0.9131
Na4 Na 0.3094 0.9908 0.0901
Na5 Na 0.3188 0.6322 0.3364
Na6 Na 0.3212 0.2663 0.5810
Na7 Na 0.3238 0.6343 0.8385
Na8 Na 0.6218 0.9580 0.2601
Na9 Na 0.6437 0.3039 0.6690
Na10 Na 0.6466 0.3015 0.1709
Na11 Na 0.6597 0.9300 0.9161
Na12 Na 0.6638 0.6812 0.4120
Na13 Na 0.6756 0.6303 0.0915
Na14 Na 0.6817 0.0179 0.5801
Na15 Na 0.9261 0.6079 0.5860
Na16 Na 0.9783 0.3239 0.7617
Na17 Na 0.9802 0.6130 0.2527
Na18 Na 0.9971 0.9663 0.4929
Zr1 Zr 0.3070 0.6327 0.6951
Zr2 Zr 0.3080 0.6221 0.9875
Zr3 Zr 0.3077 0.6306 0.4861
Zr4 Zr 0.3130 0.6225 0.1911
Zr5 Zr 0.6358 0.2956 0.3230
Zr6 Zr 0.6389 0.3018 0.8179
Zr7 Zr 0.6503 0.2962 0.0270
Zr8 Zr 0.9766 0.9593 0.6572
Zr9 Zr 0.9776 0.9668 0.1539
Zn1 Zn 0.6496 0.2981 0.5193
Zn2 Zn 0.9824 0.9637 0.3506
Zn3 Zn 0.9914 0.9660 0.8513
Si1 Si 0.0126 0.3314 0.5896
Si2 Si 0.0177 0.6306 0.0910
Si3 Si 0.3103 0.3320 0.0883
Si4 Si 0.6049 0.9232 0.0899
Si5 Si 0.6825 0.6700 0.2607
Si6 Si 0.9772 0.6664 0.7608
P1 P 0.2688 0.2566 0.7562
P2 P 0.2727 0.9620 0.2577
P3 P 0.3096 0.9247 0.5906
P4 P 0.3489 0.2958 0.4296
P5 P 0.3499 0.0029 0.9242
P6 P 0.6045 0.6337 0.5894
P7 P 0.6446 0.5951 0.9246
P8 P 0.6466 0.0007 0.4267
P9 P 0.6834 0.9628 0.7609
P10 P 0.9397 0.5944 0.4259
P11 P 0.9408 0.2968 0.9189
P12 P 0.9790 0.2606 0.2632
O1 O 0.0012 0.1890 0.3213
O2 O 0.0024 0.8015 0.0957
O3 O 0.1040 0.6079 0.1507
O4 O 0.1114 0.4652 0.9223
O5 O 0.1128 0.4504 0.6470
O6 O 0.1143 0.5982 0.4260
O7 O 0.1242 0.4443 0.2555
O8 O 0.1352 0.6563 0.0327
O9 O 0.1356 0.4281 0.5316
O10 O 0.1395 0.6326 0.7556
O11 O 0.1425 0.9312 0.5932
O12 O 0.1502 0.1440 0.0953
O13 O 0.1499 0.1791 0.8085
O14 O 0.1623 0.9395 0.3107
O15 O 0.1685 0.1509 0.4220
O16 O 0.1728 0.9802 0.9226
O17 O 0.1872 0.1558 0.6979
O18 O 0.1981 0.9841 0.1991
O19 O 0.2855 0.4227 0.0302
O20 O 0.2910 0.8139 0.5352
O21 O 0.2930 0.8022 0.2545
O22 O 0.2976 0.4383 0.7492
O23 O 0.3283 0.8339 0.6452
O24 O 0.3406 0.8263 0.9230
O25 O 0.3447 0.4550 0.1453
O26 O 0.3465 0.4687 0.4267
O27 O 0.4294 0.2852 0.4875
O28 O 0.4406 0.0957 0.9823
O29 O 0.4432 0.2695 0.7611
O30 O 0.4569 0.1150 0.2636
O31 O 0.4623 0.1014 0.5876
O32 O 0.4646 0.1037 0.8714
O33 O 0.4666 0.3122 0.3768
O34 O 0.4811 0.3163 0.0842
O35 O 0.4854 0.6152 0.9223
O36 O 0.4874 0.8187 0.4258
O37 O 0.4870 0.8330 0.1481
O38 O 0.4928 0.6208 0.6422
O39 O 0.4948 0.6499 0.2540
O40 O 0.5073 0.8083 0.7514
O41 O 0.5135 0.8040 0.0319
O42 O 0.5235 0.6591 0.5322
O43 O 0.6197 0.1079 0.0852
O44 O 0.6225 0.4760 0.5878
O45 O 0.6348 0.0937 0.3707
O46 O 0.6383 0.4869 0.8701
O47 O 0.6473 0.4989 0.9811
O48 O 0.6560 0.0977 0.4833
O49 O 0.6686 0.1260 0.7606
O50 O 0.6699 0.4828 0.2648
O51 O 0.7624 0.9443 0.8178
O52 O 0.7634 0.7846 0.3192
O53 O 0.7819 0.7950 0.5947
O54 O 0.7885 0.9376 0.0969
O55 O 0.8003 0.9868 0.7062
O56 O 0.8033 0.7624 0.2028
O57 O 0.8033 0.7696 0.9251
O58 O 0.8049 0.9816 0.4244
O59 O 0.8099 0.2679 0.2633
O60 O 0.8106 0.4728 0.7590
O61 O 0.8258 0.4713 0.0852
O62 O 0.8273 0.3144 0.5862
O63 O 0.8286 0.2873 0.9727
O64 O 0.8427 0.5153 0.4834
O65 O 0.8444 0.4764 0.3719
O66 O 0.8507 0.3124 0.8625
O67 O 0.9554 0.1382 0.9191
O68 O 0.9627 0.1450 0.2104
O69 O 0.9627 0.7707 0.4190
O70 O 0.9649 0.7628 0.7006
O71 O 0.9977 0.7700 0.8204
O72 O 0.9987 0.1450 0.5933
# magnetic moment: 0.00 μB per formula unit


Number 1: formation energy -1.29 eV/atom. Number 2: formation energy -2.36 eV/atom. Number 3: formation energy -2.95 eV/atom.